This record from the Materials Project database describes crystalline Li3CuNi2O6 at its relaxed geometry. The functional is PBE with a Hubbard U.

It has space group C2/m (No. 12), with a = 12.3879 Å, b = 2.9366 Å, c = 5.8751 Å, α = 90.00°, β = 104.51° and γ = 90.00°. The distinct sites, in fractional coordinates, are Li at (0.0000, 0.0000, 0.0000), Li at (0.1684, 0.5000, 0.3359), Cu at (0.0000, 0.0000, 0.5000), Ni at (0.1681, 0.5000, 0.8319), O at (0.0108, 0.5000, 0.7436), O at (0.1625, 0.0000, 0.5954) and O at (0.1752, 0.0000, 0.0765).

The value obtained for the formation energy is -1.44 eV per atom.